[1]
The following is a DFT calculation (GGA-PBE) of Al2CuSi2O8F after structural relaxation.

Summary:
The formation energy comes out at -2854.5 meV per atom.

Unit cell a=4.8834 b=8.9982 c=14.1033 alpha=90.00 beta=89.65 gamma=90.00
Last column: nearest neighbours and their distance in Å.
Element x y z (fractional)
O: 0.1962 0.4634 0.6439  1 Si 1.65
O: 0.8028 0.5333 0.1455  1 Si 1.65
O: 0.3951 0.7553 0.5221  2 Al 1.77-1.79
O: 0.1972 0.4667 0.8545  1 Si 1.65
O: 0.8038 0.5366 0.3561  1 Si 1.65
O: 0.6049 0.2447 0.4779  2 Al 1.77-1.79
O: 0.2382 0.4754 0.2494  2 Si 1.66
O: 0.4793 0.7587 0.1486  1 Si 1.66
O: 0.0207 0.2587 0.3514  1 Si 1.66
O: 0.3028 0.9667 0.6455  1 Si 1.65
O: 0.0307 0.2575 0.1466  1 Si 1.68
O: 0.9793 0.7413 0.6486  1 Si 1.66
O: 0.6962 0.0366 0.1439  1 Si 1.65
O: 0.7618 0.5246 0.7506  2 Si 1.66
O: 0.8066 0.0090 0.5605  1 Si 1.64
O: 0.4693 0.7575 0.3534  1 Si 1.68
O: 0.3011 0.4821 0.4395  1 Si 1.64
O: 0.5307 0.2425 0.6466  1 Si 1.68
O: 0.8951 0.7447 0.0221  2 Al 1.77-1.79
O: 0.1934 0.9910 0.4395  1 Si 1.64
O: 0.6989 0.5179 0.5605  1 Si 1.64
O: 0.9693 0.7425 0.8534  1 Si 1.68
O: 0.3038 0.9634 0.8561  1 Si 1.65
O: 0.1049 0.2553 0.9779  2 Al 1.77-1.79
O: 0.6934 0.5090 0.9395  1 Si 1.64
O: 0.1989 0.9821 0.0605  1 Si 1.64
O: 0.7382 0.0246 0.7494  2 Si 1.66
O: 0.8011 0.0179 0.9395  1 Si 1.64
O: 0.5207 0.2413 0.8514  1 Si 1.66
O: 0.6972 0.0333 0.3545  1 Si 1.65
O: 0.3066 0.4910 0.0605  1 Si 1.64
O: 0.2618 0.9754 0.2506  2 Si 1.66
F: 0.8984 0.7543 0.4663  2 Al 1.83
F: 0.6016 0.2543 0.0337  2 Al 1.83
F: 0.1016 0.2457 0.5337  2 Al 1.83
F: 0.3984 0.7457 0.9663  2 Al 1.83
Al: 0.1001 0.8674 0.5479  5 O 1.79-1.94, 1 F 1.83
Al: 0.8997 0.1329 0.0468  4 O 1.77-1.91, 1 F 1.83
Al: 0.3997 0.3671 0.5468  4 O 1.77-1.91, 1 F 1.83
Al: 0.6001 0.6326 0.0479  5 O 1.79-1.94, 1 F 1.83
Al: 0.1003 0.8671 0.9532  4 O 1.77-1.91, 1 F 1.83
Al: 0.3999 0.3674 0.9521  5 O 1.79-1.94, 1 F 1.83
Al: 0.6003 0.6329 0.4532  4 O 1.77-1.91, 1 F 1.83
Al: 0.8999 0.1326 0.4521  5 O 1.79-1.94, 1 F 1.83
Si: 0.0945 0.4407 0.1453  4 O 1.64-1.68
Si: 0.9089 0.5608 0.6471  4 O 1.64-1.66
Si: 0.5911 0.0608 0.8529  4 O 1.64-1.66
Si: 0.0911 0.4392 0.3529  4 O 1.64-1.66
Si: 0.9055 0.5593 0.8547  4 O 1.64-1.68
Si: 0.4089 0.9392 0.1471  4 O 1.64-1.66
Si: 0.5945 0.0593 0.6453  4 O 1.64-1.68
Si: 0.4055 0.9407 0.3547  4 O 1.64-1.68
Cu: 0.1426 0.8530 0.7505  4 O 1.93-1.96
Cu: 0.6426 0.6470 0.2505  4 O 1.93-1.96
Cu: 0.8574 0.1470 0.2495  4 O 1.93-1.96
Cu: 0.3574 0.3530 0.7495  4 O 1.93-1.96

---

[2]
The following is a DFT calculation (GGA-PBE) of Al2CuSi2O7F2 after structural relaxation.

Summary:
The formation energy comes out at -3088.0 meV per atom.

Unit cell a=4.8231 b=8.9685 c=14.1947 alpha=90.00 beta=90.00 gamma=90.00
Last column: nearest neighbours and their distance in Å.
Element x y z (fractional)
Al: 0.5959 0.1311 0.9502  2 F 1.83, 4 O 1.88-1.93
Al: 0.4041 0.8689 0.4502  2 F 1.83, 4 O 1.88-1.93
Al: 0.9041 0.6311 0.9502  2 F 1.83, 4 O 1.88-1.93
Al: 0.9041 0.6311 0.5498  2 F 1.83, 4 O 1.88-1.93
Al: 0.0959 0.3689 0.0498  2 F 1.83, 4 O 1.88-1.93
Al: 0.0959 0.3689 0.4502  2 F 1.83, 4 O 1.88-1.93
Al: 0.4041 0.8689 0.0498  2 F 1.83, 4 O 1.88-1.93
Al: 0.5959 0.1311 0.5498  2 F 1.83, 4 O 1.88-1.93
Si: 0.4051 0.4382 0.8536  4 O 1.64-1.66
Si: 0.4051 0.4382 0.6464  4 O 1.64-1.66
Si: 0.5949 0.5618 0.3536  4 O 1.64-1.66
Si: 0.9051 0.0618 0.3536  4 O 1.64-1.66
Si: 0.5949 0.5618 0.1464  4 O 1.64-1.66
Si: 0.0949 0.9382 0.8536  4 O 1.64-1.66
Si: 0.9051 0.0618 0.1464  4 O 1.64-1.66
Si: 0.0949 0.9382 0.6464  4 O 1.64-1.66
O: 0.7591 0.0258 0.2500  2 Si 1.66
O: 0.1946 0.9652 0.1432  1 Si 1.64
O: 0.6985 0.0141 0.0587  1 Si 1.65
O: 0.3015 0.9859 0.9413  1 Si 1.65
O: 0.6946 0.5348 0.6432  1 Si 1.64
O: 0.0317 0.7574 0.8539  1 Si 1.65
O: 0.6946 0.5348 0.8568  1 Si 1.64
O: 0.8015 0.5141 0.0587  1 Si 1.65
O: 0.1946 0.9652 0.3568  1 Si 1.64
O: 0.1985 0.4859 0.9413  1 Si 1.65
O: 0.8015 0.5141 0.4413  1 Si 1.65
O: 0.1985 0.4859 0.5587  1 Si 1.65
O: 0.9683 0.2426 0.1461  1 Si 1.65
O: 0.0317 0.7574 0.6461  1 Si 1.65
O: 0.5317 0.7426 0.3539  1 Si 1.65
O: 0.3015 0.9859 0.5587  1 Si 1.65
O: 0.7409 0.5258 0.2500  2 Si 1.66
O: 0.9683 0.2426 0.3539  1 Si 1.65
O: 0.4683 0.2574 0.6461  1 Si 1.65
O: 0.2591 0.4742 0.7500  2 Si 1.66
O: 0.4683 0.2574 0.8539  1 Si 1.65
O: 0.2409 0.9742 0.7500  2 Si 1.66
O: 0.5317 0.7426 0.1461  1 Si 1.65
O: 0.6985 0.0141 0.4413  1 Si 1.65
O: 0.3054 0.4652 0.1432  1 Si 1.64
O: 0.3054 0.4652 0.3568  1 Si 1.64
O: 0.8054 0.0348 0.6432  1 Si 1.64
O: 0.8054 0.0348 0.8568  1 Si 1.64
F: 0.6056 0.7539 0.5312  2 Al 1.83
F: 0.3944 0.2461 0.4688  2 Al 1.83
F: 0.8944 0.2539 0.9688  2 Al 1.83
F: 0.6056 0.7539 0.9688  2 Al 1.83
F: 0.1056 0.7461 0.0312  2 Al 1.83
F: 0.1056 0.7461 0.4688  2 Al 1.83
F: 0.3944 0.2461 0.0312  2 Al 1.83
F: 0.8944 0.2539 0.5312  2 Al 1.83
Cu: 0.1401 0.3546 0.2500  4 O 1.97-1.98
Cu: 0.3599 0.8546 0.2500  4 O 1.97-1.98
Cu: 0.8599 0.6454 0.7500  4 O 1.97-1.98
Cu: 0.6401 0.1454 0.7500  4 O 1.97-1.98